Entry 1:
DFT (PBE) results for crystalline PuRe2 at its relaxed geometry.

```
PuRe2
1.0
1.839 4.470 2.844
2.314 -5.045 0.806
5.275 1.499 -5.766
Re Pu
8 4
Direct
0.347 0.173 0.250
0.172 0.828 0.750
0.000 0.000 0.500
0.653 0.827 0.750
0.173 0.347 0.750
0.828 0.172 0.250
0.827 0.653 0.250
0.000 0.000 0.000
0.667 0.333 0.603
0.667 0.333 0.897
0.333 0.667 0.397
0.333 0.667 0.103
```

Results
- electronic total energy (eV per atom) = -12.730

***

Entry 2:
DFT (PBE) results for crystalline Ta3AlCo8 at its relaxed geometry.

```
Ta3AlCo8
1.0
7.851 -2.376 0.000
7.851 2.376 0.000
7.132 0.000 4.052
Co Ta Al
8 3 1
Direct
0.561 0.064 0.064
0.312 0.312 0.312
0.064 0.064 0.561
0.060 0.563 0.563
0.064 0.561 0.064
0.563 0.060 0.563
0.812 0.812 0.812
0.563 0.563 0.060
0.623 0.623 0.623
0.498 0.498 0.498
0.003 0.003 0.003
0.126 0.126 0.126
```

Results
- electronic total energy (eV per atom) = -8.249

***

Entry 3:
DFT (PBE) results for crystalline LiFeAs at its relaxed geometry.

```
LiFeAs
1.0
-3.399 -1.659 -0.255
1.237 -2.864 2.153
-1.829 2.976 5.010
As Fe Li
2 2 2
Direct
0.500 0.000 0.274
0.000 0.500 0.726
0.500 0.500 0.500
0.000 0.000 0.500
0.000 0.500 0.169
0.500 0.000 0.831
```

Results
- electronic total energy (eV per atom) = -5.454

***

Entry 4:
DFT (PBE) results for crystalline MgMn4S6 at its relaxed geometry.

```
MgMn4S6
1.0
3.852 -0.260 4.761
-0.144 4.991 -3.557
-2.731 0.567 6.183
Mg Mn S
1 4 6
Direct
0.500 0.500 0.500
0.668 0.332 0.996
0.162 0.838 0.515
0.838 0.162 0.485
0.332 0.668 0.004
0.754 0.926 0.748
0.575 0.754 0.252
0.074 0.575 0.748
0.425 0.246 0.748
0.246 0.073 0.252
0.926 0.425 0.252
```

Results
- MP2020-corrected energy (eV/atom) = -6.650

***

Entry 5:
DFT (PBE) results for crystalline Ba2TmMgRuO6 at its relaxed geometry.

```
Ba2TmMgRuO6
1.0
5.448 0.261 3.031
2.062 5.049 3.031
0.000 0.000 6.061
Mg O Ru Tm Ba
1 6 1 1 2
Direct
0.000 0.000 0.500
0.232 0.768 0.258
0.762 0.762 0.238
0.768 0.232 0.258
0.232 0.768 0.742
0.238 0.238 0.762
0.768 0.232 0.742
0.000 0.000 0.000
0.500 0.500 0.500
0.691 0.691 0.809
0.309 0.309 0.191
```

Results
- MP2020-corrected energy (eV/atom) = -6.987

***

Entry 6:
DFT (PBE) results for crystalline ZnCu3P3O13 at its relaxed geometry.

```
ZnCu3P3O13
1.0
6.125 0.000 0.000
0.000 7.591 0.000
0.000 1.873 9.901
O P Cu Zn
26 6 6 2
Direct
0.750 0.492 0.977
0.562 0.612 0.211
0.535 0.784 0.894
0.250 0.380 0.256
0.750 0.353 0.601
0.465 0.216 0.106
0.750 0.024 0.599
0.250 0.882 0.094
0.750 0.910 0.128
0.035 0.216 0.106
0.250 0.508 0.023
0.965 0.784 0.894
0.750 0.620 0.744
0.561 0.250 0.405
0.250 0.090 0.872
0.250 0.202 0.626
0.750 0.118 0.906
0.250 0.647 0.399
0.938 0.612 0.211
0.062 0.388 0.789
0.061 0.750 0.595
0.939 0.250 0.405
0.438 0.388 0.789
0.439 0.750 0.595
0.250 0.976 0.401
0.750 0.798 0.374
0.750 0.737 0.240
0.750 0.679 0.886
0.250 0.263 0.760
0.750 0.210 0.511
0.250 0.790 0.489
0.250 0.321 0.114
0.750 0.764 0.568
0.750 0.350 0.798
0.250 0.650 0.202
0.250 0.236 0.432
0.000 0.000 0.000
0.500 0.000 0.000
0.750 0.360 0.176
0.250 0.640 0.824
```

Results
- MP2020-corrected energy (eV/atom) = -6.511

***

Entry 7:
DFT (PBE) results for crystalline Rb3Er7S12 at its relaxed geometry.

```
Rb3Er7S12
1.0
-2.332 2.761 -1.700
-5.489 1.930 10.662
16.884 17.645 5.498
Er S Rb
14 24 6
Direct
0.000 0.527 0.919
0.000 0.676 0.318
0.000 0.821 0.681
0.000 0.345 0.289
0.000 0.972 0.083
0.500 0.179 0.181
0.500 0.750 0.000
0.500 0.655 0.789
0.500 0.846 0.211
0.500 0.028 0.583
0.000 0.154 0.711
0.000 0.250 0.500
0.500 0.473 0.419
0.500 0.324 0.818
0.500 0.299 0.712
0.500 0.096 0.481
0.500 0.991 0.694
0.000 0.325 0.398
0.500 0.200 0.288
0.000 0.625 0.422
0.000 0.701 0.212
0.000 0.876 0.576
0.000 0.009 0.194
0.000 0.491 0.806
0.000 0.176 0.603
0.000 0.601 0.019
0.000 0.904 0.981
0.000 0.173 0.822
0.500 0.124 0.076
0.500 0.399 0.519
0.500 0.824 0.103
0.000 0.327 0.181
0.500 0.827 0.322
0.500 0.673 0.681
0.500 0.509 0.306
0.000 0.800 0.788
0.500 0.375 0.922
0.500 0.675 0.898
0.500 0.812 0.470
0.000 0.045 0.365
0.000 0.188 0.970
0.000 0.461 0.633
0.500 0.955 0.865
0.500 0.539 0.133
```

Results
- MP2020-corrected energy (eV/atom) = -6.087

***

Entry 8:
DFT (PBE) results for crystalline BaNaEuSi3O9 at its relaxed geometry.

```
BaNaEuSi3O9
1.0
5.740 0.000 0.000
0.000 11.675 0.000
0.000 0.000 12.710
Si O Eu Na Ba
12 36 4 4 4
Direct
0.097 0.347 0.643
0.604 0.412 0.376
0.104 0.088 0.624
0.396 0.912 0.124
0.403 0.653 0.143
0.901 0.196 0.813
0.401 0.304 0.187
0.896 0.588 0.876
0.903 0.847 0.857
0.599 0.804 0.313
0.099 0.696 0.687
0.597 0.153 0.357
0.389 0.778 0.074
0.418 0.181 0.255
0.854 0.440 0.322
0.600 0.903 0.218
0.140 0.624 0.182
0.658 0.186 0.877
0.372 0.814 0.389
0.640 0.876 0.818
0.512 0.503 0.463
0.146 0.940 0.178
0.628 0.314 0.111
0.128 0.186 0.889
0.111 0.222 0.574
0.354 0.060 0.678
0.464 0.060 0.430
0.900 0.097 0.718
0.964 0.440 0.570
0.082 0.819 0.755
0.582 0.681 0.245
0.012 0.997 0.537
0.400 0.403 0.282
0.360 0.376 0.682
0.646 0.560 0.822
0.488 0.003 0.037
0.158 0.314 0.123
0.988 0.497 0.963
0.872 0.686 0.611
0.918 0.319 0.745
0.842 0.814 0.377
0.860 0.124 0.318
0.889 0.722 0.926
0.611 0.278 0.426
0.100 0.597 0.782
0.536 0.560 0.070
0.342 0.686 0.623
0.036 0.940 0.930
0.612 0.530 0.638
0.388 0.030 0.862
0.112 0.970 0.362
0.888 0.470 0.138
0.430 0.715 0.894
0.570 0.215 0.606
0.930 0.785 0.106
0.070 0.285 0.394
0.397 0.383 0.919
0.103 0.617 0.419
0.897 0.117 0.081
0.603 0.883 0.581
```

Results
- MP2020-corrected energy (eV/atom) = -8.170